VASP calculation (PBE) on a geometry-optimized MgAg3 structure.

Space-group type: Pm-3m, No. 221
Total DFT energy (no corrections) in hartree per atom: -0.099

Structure (extended XYZ):
```
4
Lattice="4.170 0.000 0.000 0.000 4.170 0.000 0.000 0.000 4.170" Properties=species:S:1:pos:R:3 pbc="T T T"
Ag 2.085 2.085 0.000
Ag 2.085 0.000 2.085
Ag 0.000 2.085 2.085
Mg 0.000 0.000 0.000
```

=====

VASP calculation (PBE) on a geometry-optimized Mg149Ag structure.

Space-group type: P-6m2, No. 187
Magnetization in μB per formula unit: 0.0
Total DFT energy (no corrections) in hartree per atom: -0.060

Structure (extended XYZ):
```
150
Lattice="13.760 -7.944 0.000 0.000 15.889 0.000 0.000 0.000 15.597" Properties=species:S:1:pos:R:3 pbc="T T T"
Mg 6.425 -1.589 12.999
Mg 6.428 7.944 2.597
Mg 11.009 0.000 5.199
Mg 0.000 0.000 5.179
Mg 0.003 3.170 10.408
Mg 9.173 0.000 2.598
Mg 8.255 -1.590 10.398
Mg 13.760 -1.593 5.195
Mg 11.924 -1.587 7.798
Mg 11.008 3.179 5.201
Mg 3.682 0.000 2.608
Mg 11.013 9.527 5.188
Mg 11.958 7.944 13.049
Mg 0.917 1.588 7.798
Mg 0.917 7.944 2.596
Mg 11.919 -4.756 2.608
Mg 6.421 4.766 2.596
Mg 6.421 11.122 2.596
Mg 0.003 12.718 10.408
Mg 6.424 1.589 7.798
Mg 2.744 1.587 10.408
Mg 2.706 -1.547 0.000
Mg 11.008 3.179 10.396
Mg 5.504 9.534 5.200
Mg 8.255 1.590 5.199
Mg 2.752 11.123 5.197
Mg 5.504 6.355 5.200
Mg 6.423 7.944 7.798
Mg 2.752 11.123 10.400
Mg 11.924 -1.585 2.598
Mg 11.016 3.192 0.000
Mg 9.171 3.175 12.999
Mg 8.266 4.773 0.000
Mg 5.503 0.000 5.201
Mg 8.257 7.944 10.400
Mg 13.760 -1.593 10.401
Mg 11.013 9.527 10.408
Mg 11.013 6.361 10.408
Mg 6.422 4.765 7.798
Mg 5.505 6.354 0.000
Mg 9.172 3.176 7.798
Mg 6.425 -1.589 2.598
Mg 0.901 14.328 13.049
Mg 0.915 11.124 7.798
Mg 2.741 4.747 0.000
Mg 3.666 9.539 2.597
Mg 2.752 4.766 10.400
Mg 13.760 1.593 10.401
Mg 8.278 7.944 0.000
Mg 9.172 -3.176 7.798
Mg 11.919 -4.756 12.988
Mg 11.009 0.000 10.398
Mg 2.706 1.547 0.000
Mg 3.668 6.354 7.798
Mg 0.916 7.944 7.798
Mg 9.176 6.354 7.798
Mg 0.915 4.765 7.798
Mg 6.424 -1.589 7.798
Mg 0.001 6.344 0.000
Mg 8.255 1.590 10.398
Mg 2.752 4.766 5.197
Mg 8.259 -4.768 10.401
Mg 3.657 12.724 2.591
Mg 5.494 12.716 0.000
Mg 11.924 1.587 7.798
Mg 9.190 6.360 2.591
Mg 6.428 7.944 13.000
Mg 6.421 11.122 13.000
Mg 0.912 11.139 2.591
Mg 13.760 1.593 5.195
Mg 11.068 -6.374 0.000
Mg 3.666 6.350 13.000
Mg 9.173 0.000 12.998
Mg 11.924 -1.585 12.999
Mg 3.666 6.350 2.597
Mg 3.666 9.539 13.000
Mg 11.008 -3.179 10.396
Mg 0.003 3.170 5.188
Mg 0.917 7.944 13.000
Mg 9.173 0.000 7.798
Mg 3.668 9.535 7.798
Mg 2.752 7.944 10.396
Mg 8.255 -1.590 5.199
Mg 2.744 1.587 5.188
Mg 3.682 0.000 12.988
Mg 0.001 9.545 0.000
Mg 9.190 9.529 13.006
Mg 5.505 9.535 0.000
Mg 5.494 3.172 0.000
Mg 11.068 6.374 0.000
Mg 5.501 3.176 10.401
Mg 0.901 1.560 13.049
Mg 8.254 1.592 0.000
Mg 8.259 4.768 10.401
Mg 5.504 9.534 10.396
Mg 9.190 9.529 2.591
Mg 3.657 3.165 13.006
Mg 3.657 3.165 2.591
Mg 2.744 14.301 5.188
Mg 8.259 -4.768 5.195
Mg 11.926 4.768 7.798
Mg 8.254 -1.592 0.000
Mg 8.266 11.116 0.000
Mg 0.912 4.750 2.591
Mg 11.012 0.000 0.000
Mg 0.901 1.560 2.547
Mg 3.668 0.000 7.798
Mg 11.013 6.361 5.188
Mg 0.917 14.301 7.798
Mg 5.501 -3.176 10.401
Mg 0.000 0.000 10.418
Mg 6.425 1.589 2.598
Mg 9.171 3.175 2.598
Mg 9.190 6.360 13.006
Mg 5.503 0.000 10.396
Mg 2.741 11.141 0.000
Mg 6.421 4.766 13.000
Mg 2.752 7.944 5.200
Mg 11.008 -3.179 5.201
Mg 9.171 -3.175 2.598
Mg 6.422 11.124 7.798
Mg 3.657 12.724 13.006
Mg 8.257 7.944 5.197
Mg 13.746 -4.828 0.000
Mg 2.744 14.301 10.408
Mg 5.501 3.176 5.195
Mg 2.750 7.944 0.000
Mg 8.259 4.768 5.195
Mg 9.176 9.534 7.798
Mg 0.901 14.328 2.547
Mg 11.919 4.756 2.608
Mg 5.488 0.000 0.000
Mg 0.912 4.750 13.006
Mg 0.912 11.139 13.006
Mg 11.926 -4.768 7.798
Mg 5.501 -3.176 5.195
Mg 13.746 4.828 0.000
Mg 11.016 -3.192 0.000
Mg 11.926 7.944 7.798
Mg 5.504 6.355 10.396
Mg 3.669 12.714 7.798
Mg 9.171 -3.175 12.999
Mg 6.425 1.589 12.999
Mg 11.924 1.585 12.999
Mg 11.919 4.756 12.988
Mg 11.958 7.944 2.547
Mg 11.924 1.585 2.598
Mg 0.003 12.718 5.188
Mg 3.669 3.175 7.798
Ag 0.000 0.000 0.000
```

=====

VASP calculation (PBE) on a geometry-optimized Mg5Ag structure.

Space-group type: R32, No. 155
Total DFT energy (no corrections) in hartree per atom: -0.069

Structure (extended XYZ):
```
6
Lattice="5.245 -2.707 0.000 5.245 2.707 0.000 3.848 0.000 4.475" Properties=species:S:1:pos:R:3 pbc="T T T"
Mg 5.245 -0.865 0.000
Mg 2.377 0.000 0.742
Mg 4.770 1.786 1.523
Mg 11.962 0.000 3.733
Mg 4.324 -0.921 2.952
Ag 7.169 0.000 2.238
```

=====

VASP calculation (PBE) on a geometry-optimized Mg2Nb2AgO8 structure.

Space-group type: P-1, No. 2
Magnetization in μB per formula unit: 1.0
Total DFT energy (no corrections) in hartree per atom: -0.267
Energy with MP2020 corrections in eV per atom: -7.68

Structure (extended XYZ):
```
26
Lattice="5.248 0.000 0.000 -0.059 6.165 0.000 -0.286 -2.812 10.011" Properties=species:S:1:pos:R:3 pbc="T T T"
O 2.657 3.882 6.202
O 4.880 0.759 3.842
O 1.828 2.309 3.868
O 2.944 4.040 1.270
O 0.374 2.296 1.263
O 0.449 -0.735 6.118
O 4.454 4.088 3.893
O 0.182 5.636 1.617
O 2.246 -0.529 3.809
O 4.721 -2.283 8.394
O 2.889 0.742 1.610
O 3.075 1.044 6.143
O 4.529 1.057 8.748
O 1.959 -0.687 8.741
O 2.014 2.612 8.402
O 0.023 2.594 6.170
Ag 1.285 4.115 0.006
Ag 3.618 -0.762 10.006
Nb 1.192 -1.891 7.565
Nb 3.711 5.244 2.447
Nb 1.152 1.102 2.459
Nb 3.751 2.251 7.553
Mg 3.750 2.331 4.556
Mg 1.124 4.062 4.591
Mg 3.779 -0.709 5.420
Mg 1.153 1.022 5.456
```

=====

VASP calculation (PBE) on a geometry-optimized NdMgAg2 structure.

Space-group type: Fm-3m, No. 225
Total DFT energy (no corrections) in hartree per atom: -0.121

Structure (extended XYZ):
```
4
Lattice="-1.494 -4.667 -1.279 -4.728 -0.786 -1.636 -0.840 -1.146 -4.861" Properties=species:S:1:pos:R:3 pbc="T T T"
Nd 0.000 0.000 0.000
Ag -5.296 -4.949 -5.832
Ag -1.765 -1.650 -1.944
Mg -3.531 -3.299 -3.888
```

=====

VASP calculation (PBE) on a geometry-optimized NdMg2Ag structure.

Space-group type: Fm-3m, No. 225
Magnetization in μB per formula unit: 0.0
Total DFT energy (no corrections) in hartree per atom: -0.104

Structure (extended XYZ):
```
4
Lattice="0.000 3.596 3.596 3.596 0.000 3.596 3.596 3.596 0.000" Properties=species:S:1:pos:R:3 pbc="T T T"
Mg 5.394 5.394 5.394
Mg 1.798 1.798 1.798
Ag 0.000 0.000 0.000
Nd 3.596 3.596 3.596
```

=====

VASP calculation (PBE) on a geometry-optimized MgAg2O4 structure.

Space-group type: Cm, No. 8
Magnetization in μB per formula unit: 0.2
Total DFT energy (no corrections) in hartree per atom: -0.165
Energy with MP2020 corrections in eV per atom: -4.90

Structure (extended XYZ):
```
42
Lattice="3.240 5.400 0.000 -3.240 5.400 0.000 0.000 0.170 15.493" Properties=species:S:1:pos:R:3 pbc="T T T"
O 1.378 2.625 3.777
O -1.851 6.503 6.558
O 0.000 9.166 13.965
O 1.392 8.352 11.709
O -1.400 4.668 1.368
O 1.851 6.503 6.558
O 0.000 5.464 3.678
O 0.000 3.510 6.542
O 0.000 5.501 11.853
O -1.858 4.465 8.945
O 0.000 1.862 1.377
O 0.000 9.050 6.662
O 1.858 4.465 8.945
O 0.000 1.919 8.831
O 1.476 6.367 14.139
O 0.000 3.754 14.152
O -1.392 8.352 11.709
O 1.400 4.668 1.368
O -1.378 2.625 3.777
O 0.000 10.793 11.662
O 0.000 7.465 8.957
O 0.000 0.189 3.839
O 0.000 7.079 1.397
O -1.476 6.367 14.139
Ag 0.000 2.021 10.998
Ag 1.655 6.350 2.603
Ag -1.655 6.350 2.603
Ag 1.619 8.184 7.749
Ag -1.631 4.620 12.892
Ag 0.000 5.581 5.846
Ag -1.619 8.184 7.749
Ag 1.631 4.620 12.892
Ag 0.000 9.070 0.672
Ag 0.000 8.930 4.508
Ag 0.000 5.565 15.481
Ag 0.000 5.393 9.624
Mg 0.000 1.857 5.178
Mg 0.000 7.335 12.909
Mg 0.000 3.610 2.580
Mg 0.000 9.113 10.318
Mg 0.000 0.086 7.751
Mg 0.000 1.827 14.843
```

=====

VASP calculation (PBE) on a geometry-optimized MgAg2O4 structure.

Space-group type: Fd-3m, No. 227
Magnetization in μB per formula unit: 3.7
Total DFT energy (no corrections) in hartree per atom: -0.162
Energy with MP2020 corrections in eV per atom: -4.80

Structure (extended XYZ):
```
14
Lattice="3.128 -4.826 2.772 1.478 0.298 6.204 -3.008 -3.770 4.183" Properties=species:S:1:pos:R:3 pbc="T T T"
O 2.207 -5.568 6.312
O 1.356 -2.925 8.082
O -0.958 -5.023 7.040
O 1.405 -7.293 11.566
O 0.643 -7.447 8.366
O 0.593 -3.079 4.883
O -0.208 -4.804 10.136
O 2.957 -5.349 9.408
Mg 0.799 -4.149 6.579
Mg 1.199 -6.223 9.869
Ag 0.200 -1.037 1.645
Ag 1.764 -3.450 3.031
Ag 0.939 -0.888 4.747
Ag -1.304 -2.922 3.737
```